## RbHSeO4 (GGA-PBE)

Data for a relaxed RbHSeO4 crystal.

Geometry as POSCAR:
```
RbHSeO4
1.0
-2.957 -0.190 -3.599
-5.630 -2.248 4.744
-3.311 12.626 2.053
H O Rb Se
4 16 4 4
direct
0.281 0.826 0.888
0.719 0.326 0.612
0.219 0.174 0.388
0.781 0.674 0.112
0.420 0.571 0.718
0.014 0.326 0.669
0.840 0.081 0.969
0.580 0.071 0.782
0.029 0.183 0.428
0.660 0.919 0.469
0.986 0.826 0.831
0.471 0.817 0.928
0.514 0.174 0.331
0.971 0.683 0.072
0.486 0.674 0.169
0.080 0.429 0.218
0.920 0.929 0.282
0.160 0.581 0.531
0.340 0.419 0.031
0.529 0.317 0.572
0.316 0.051 0.122
0.816 0.449 0.878
0.184 0.949 0.622
0.684 0.551 0.378
0.730 0.959 0.874
0.270 0.459 0.626
0.230 0.541 0.126
0.770 0.041 0.374
```

For the formation enthalpy at 0 K, the calculation gives -1.5062 eV per atom. The calculation puts the calculated total energy at -0.186 hartree per atom. Its density is 3214 kg/m3. The total magnetization is 0.00 μB per atom. As for the space group: P2_12_12_1, No. 19.